<A>
# Li3MnPCO7 (GGA+U, optimized geometry)
# Volume ... 561.1 Å³/cell
# M_tot ... 20.00 Bohr magnetons per cell
data_Li3MnPCO7
_chemical_formula_sum 'Li12 Mn4 P4 C4 O28'
_space_group_name_H-M_alt 'P 1'
_space_group_IT_number 1
_cell_length_a 4.9726
_cell_length_b 8.5818
_cell_length_c 13.1903
_cell_angle_alpha 90.56
_cell_angle_beta 90.08
_cell_angle_gamma 94.54
loop_
_space_group_symop_operation_xyz
'x,y,z'
loop_
_atom_site_label
_atom_site_type_symbol
_atom_site_fract_x
_atom_site_fract_y
_atom_site_fract_z
Li1 Li 0.0000 0.0000 0.0000
Li2 Li 0.9997 0.0039 0.5018
Li3 Li 0.0023 0.0068 0.7233
Li4 Li 0.5068 0.5525 0.4775
Li5 Li 0.5087 0.5538 0.7534
Li6 Li 0.5174 0.1849 0.6121
Li7 Li 0.5194 0.1806 0.1040
Li8 Li 0.5195 0.5587 0.9704
Li9 Li 0.9773 0.6318 0.0992
Li10 Li 0.9900 0.3773 0.8622
Li11 Li 0.9906 0.3734 0.3620
Li12 Li 0.9980 0.9990 0.2114
Mn1 Mn 0.5021 0.5381 0.2275
Mn2 Mn 0.5311 0.9380 0.8594
Mn3 Mn 0.5336 0.9382 0.3585
Mn4 Mn 0.9783 0.6201 0.6107
P1 P 0.0302 0.6880 0.3577
P2 P 0.0305 0.6883 0.8618
P3 P 0.4726 0.8691 0.1092
P4 P 0.4771 0.8698 0.6079
C1 C 0.0466 0.3174 0.1143
C2 C 0.0514 0.3128 0.6075
C3 C 0.4573 0.2451 0.3594
C4 C 0.4577 0.2463 0.8586
O1 O 0.1130 0.1728 0.1092
O2 O 0.1141 0.1677 0.6087
O3 O 0.1606 0.8546 0.1098
O4 O 0.1613 0.8568 0.6076
O5 O 0.2403 0.4297 0.1166
O6 O 0.2447 0.4250 0.6065
O7 O 0.2629 0.1357 0.3616
O8 O 0.2654 0.1330 0.8577
O9 O 0.3474 0.7026 0.8590
O10 O 0.3486 0.6991 0.3570
O11 O 0.3946 0.3905 0.8595
O12 O 0.3953 0.3920 0.3572
O13 O 0.5665 0.7010 0.6071
O14 O 0.5762 0.7033 0.1071
O15 O 0.5832 0.9695 0.0180
O16 O 0.5855 0.9684 0.5161
O17 O 0.5846 0.9691 0.2019
O18 O 0.5867 0.9689 0.7003
O19 O 0.7044 0.2122 0.3594
O20 O 0.7061 0.2116 0.8590
O21 O 0.7983 0.3495 0.1152
O22 O 0.8041 0.3475 0.6074
O23 O 0.9196 0.5895 0.7684
O24 O 0.9240 0.5899 0.4501
O25 O 0.9271 0.5906 0.2636
O26 O 0.9278 0.5925 0.9538
O27 O 0.9418 0.8584 0.8600
O28 O 0.9447 0.8575 0.3600

<B>
# Li3MnPCO7 (GGA+U, optimized geometry)
# Volume ... 300.7 Å³/cell
# M_tot ... 10.00 Bohr magnetons per cell
data_Li3MnPCO7
_chemical_formula_sum 'Li6 Mn2 P2 C2 O14'
_space_group_name_H-M_alt 'P -1'
_space_group_IT_number 2
_cell_length_a 5.0768
_cell_length_b 6.8016
_cell_length_c 8.7929
_cell_angle_alpha 95.28
_cell_angle_beta 92.39
_cell_angle_gamma 95.29
loop_
_space_group_symop_operation_xyz
'x,y,z'
'-x,-y,-z'
loop_
_atom_site_label
_atom_site_type_symbol
_atom_site_fract_x
_atom_site_fract_y
_atom_site_fract_z
Li1 Li 0.0390 0.2145 0.2520
Li2 Li 0.2623 0.5490 0.1989
Li3 Li 0.3647 0.9100 0.2341
Mn1 Mn 0.1818 0.2674 0.6314
P1 P 0.3465 0.7601 0.5811
C1 C 0.2182 0.2789 0.9395
O1 O 0.0112 0.7462 0.1359
O2 O 0.2026 0.5867 0.6571
O3 O 0.2391 0.2854 0.0857
O4 O 0.2529 0.7476 0.4083
O5 O 0.2623 0.9527 0.6690
O6 O 0.3458 0.2357 0.4077
O7 O 0.4270 0.2963 0.8585

<A> is the most stable structure; the next one sits 0.036 eV/atom above it.

<A>
# NaMgNiO2 (GGA+U, optimized geometry)
# Volume ... 63.2 Å³/cell
# M_tot ... 1.00 Bohr magnetons per cell
data_NaMgNiO2
_chemical_formula_sum 'Na1 Mg1 Ni1 O2'
_space_group_name_H-M_alt 'P 1'
_space_group_IT_number 1
_cell_length_a 3.2404
_cell_length_b 3.3565
_cell_length_c 6.7419
_cell_angle_alpha 91.70
_cell_angle_beta 102.83
_cell_angle_gamma 116.57
loop_
_space_group_symop_operation_xyz
'x,y,z'
loop_
_atom_site_label
_atom_site_type_symbol
_atom_site_fract_x
_atom_site_fract_y
_atom_site_fract_z
Na1 Na 0.0000 0.0000 0.0000
Mg1 Mg 0.0856 0.4925 0.6366
Ni1 Ni 0.5451 0.7518 0.3189
O1 O 0.4907 0.1875 0.7498
O2 O 0.8820 0.3787 0.3195

<B>
# NaMgNiO2 (GGA+U, optimized geometry)
# Volume ... 199.9 Å³/cell
# M_tot ... 4.62 Bohr magnetons per cell
data_NaMgNiO2
_chemical_formula_sum 'Na3 Mg3 Ni3 O6'
_space_group_name_H-M_alt 'R 3 m'
_space_group_IT_number 160
_space_group_name_Hall 'R 3 -2"'
_cell_length_a 3.1276
_cell_length_b 3.1276
_cell_length_c 23.6015
_cell_angle_alpha 90.00
_cell_angle_beta 90.00
_cell_angle_gamma 120.00
loop_
_atom_site_label
_atom_site_type_symbol
_atom_site_fract_x
_atom_site_fract_y
_atom_site_fract_z
Na1 Na 0.0000 0.0000 0.0000
Mg1 Mg 0.0000 0.0000 0.4378
Ni1 Ni 0.0000 0.0000 0.5641
O1 O 0.0000 0.0000 0.2681
O2 O 0.0000 0.0000 0.7392

<C>
# NaMgNiO2 (GGA+U, optimized geometry)
# Volume ... 91.8 Å³/cell
# M_tot ... 1.76 Bohr magnetons per cell
data_NaMgNiO2
_chemical_formula_sum 'Na1 Mg1 Ni1 O2'
_space_group_name_H-M_alt 'P -1'
_space_group_IT_number 2
_cell_length_a 2.9101
_cell_length_b 5.5193
_cell_length_c 5.7254
_cell_angle_alpha 93.04
_cell_angle_beta 90.13
_cell_angle_gamma 90.01
loop_
_space_group_symop_operation_xyz
'x,y,z'
'-x,-y,-z'
loop_
_atom_site_label
_atom_site_type_symbol
_atom_site_fract_x
_atom_site_fract_y
_atom_site_fract_z
Na1 Na 0.0000 0.0000 0.0000
Mg1 Mg 0.5000 0.0000 0.5000
Ni1 Ni 0.5000 0.5000 0.5000
O1 O 0.0003 0.2487 0.5410

<A> is the most stable structure; the next one sits 0.085 eV/atom above it.

<A>
# Li4Ti2Cr3Co3O16 (GGA+U, optimized geometry)
# Volume ... 270.9 Å³/cell
# M_tot ... 15.00 Bohr magnetons per cell
data_Li4Ti2Cr3Co3O16
_chemical_formula_sum 'Li4 Ti2 Cr3 Co3 O16'
_space_group_name_H-M_alt 'P 1'
_space_group_IT_number 1
_cell_length_a 5.7501
_cell_length_b 5.7788
_cell_length_c 9.3824
_cell_angle_alpha 89.12
_cell_angle_beta 89.03
_cell_angle_gamma 60.35
loop_
_space_group_symop_operation_xyz
'x,y,z'
loop_
_atom_site_label
_atom_site_type_symbol
_atom_site_fract_x
_atom_site_fract_y
_atom_site_fract_z
Li1 Li 0.0000 0.0000 0.0000
Li2 Li 0.0010 0.0036 0.5033
Li3 Li 0.3324 0.3398 0.4015
Li4 Li 0.6677 0.6718 0.8962
Ti1 Ti 0.3409 0.3415 0.0040
Ti2 Ti 0.6767 0.6737 0.5060
Cr1 Cr 0.1759 0.1787 0.7298
Cr2 Cr 0.3508 0.8258 0.2287
Cr3 Cr 0.8318 0.3478 0.2197
Co1 Co 0.1735 0.6637 0.7196
Co2 Co 0.6601 0.1769 0.7196
Co3 Co 0.8310 0.8357 0.2198
O1 O 0.0019 0.0051 0.8083
O2 O 0.0086 0.9940 0.3114
O3 O 0.0415 0.4859 0.8460
O4 O 0.1685 0.6714 0.1047
O5 O 0.1723 0.1678 0.1010
O6 O 0.3349 0.3389 0.6150
O7 O 0.3349 0.8405 0.6048
O8 O 0.4802 0.4835 0.8393
O9 O 0.4825 0.0454 0.8460
O10 O 0.5104 0.5325 0.3505
O11 O 0.5245 0.9673 0.3459
O12 O 0.6602 0.6875 0.1104
O13 O 0.6673 0.1702 0.1023
O14 O 0.8350 0.8396 0.6075
O15 O 0.8368 0.3381 0.6042
O16 O 0.9603 0.5352 0.3463

<B>
# Li4Ti2Cr3Co3O16 (GGA+U, optimized geometry)
# Volume ... 270.4 Å³/cell
# M_tot ... 7.00 Bohr magnetons per cell
data_Li4Ti2Cr3Co3O16
_chemical_formula_sum 'Li4 Ti2 Cr3 Co3 O16'
_space_group_name_H-M_alt 'P 1'
_space_group_IT_number 1
_cell_length_a 5.7492
_cell_length_b 5.7536
_cell_length_c 9.4079
_cell_angle_alpha 89.35
_cell_angle_beta 89.33
_cell_angle_gamma 60.34
loop_
_space_group_symop_operation_xyz
'x,y,z'
loop_
_atom_site_label
_atom_site_type_symbol
_atom_site_fract_x
_atom_site_fract_y
_atom_site_fract_z
Li1 Li 0.0000 0.0000 0.0000
Li2 Li 0.0004 0.0047 0.5031
Li3 Li 0.3324 0.3401 0.4005
Li4 Li 0.6673 0.6732 0.8950
Ti1 Ti 0.3364 0.3420 0.0013
Ti2 Ti 0.6715 0.6750 0.5063
Cr1 Cr 0.1763 0.1808 0.7264
Cr2 Cr 0.3485 0.8318 0.2246
Cr3 Cr 0.8262 0.3540 0.2231
Co1 Co 0.1705 0.6637 0.7203
Co2 Co 0.6584 0.1757 0.7201
Co3 Co 0.8292 0.8361 0.2195
O1 O 0.0391 0.4883 0.8461
O2 O 0.1667 0.1717 0.1032
O3 O 0.1687 0.6720 0.1054
O4 O 0.3345 0.8407 0.6051
O5 O 0.3363 0.3425 0.6131
O6 O 0.4797 0.4844 0.8382
O7 O 0.4839 0.0436 0.8463
O8 O 0.5189 0.5235 0.3472
O9 O 0.5224 0.9679 0.3446
O10 O 0.6683 0.6757 0.1097
O11 O 0.6685 0.1741 0.1043
O12 O 0.8349 0.8397 0.6077
O13 O 0.8364 0.3384 0.6048
O14 O 0.9611 0.5293 0.3435
O15 O 0.9991 0.0044 0.8074
O16 O 0.9991 0.0054 0.3100

<B> is the most stable structure; the next one sits 0.042 eV/atom above it.